No. 1
Density functional theory data (PBE-GGA) for a relaxed structure of Ba3GeO5.

a = 7.887 Å, b = 7.887 Å, c = 7.887 Å
α = 124.01°, β = 124.01°, γ = 83.18°
Fractional coordinates of all 18 atoms:
Ba (0.682, 0.818, 0.500)
Ba (0.818, 0.318, 0.137)
O (0.208, 0.708, 0.231)
O (0.500, 0.500, 0.000)
O (0.523, 0.023, 0.231)
O (0.477, 0.977, 0.769)
Ba (0.318, 0.182, 0.500)
O (0.292, 0.523, 0.500)
O (0.023, 0.792, 0.500)
O (0.792, 0.292, 0.769)
O (0.977, 0.208, 0.500)
O (0.708, 0.477, 0.500)
Ba (0.182, 0.682, 0.863)
Ge (0.750, 0.250, 0.500)
Ge (0.250, 0.750, 0.500)
Ba (0.750, 0.750, 0.000)
O (0.000, 0.000, 0.000)
Ba (0.250, 0.250, 0.000)

Properties
**Energy relative to the elements**: -2.847 eV/atom
**Distance to the lowest polymorph of the same formula**: 0.007 eV per atom

No. 2
Density functional theory data (PBE-GGA) for a relaxed structure of Y2Cu3.

a = 5.413 Å, b = 5.502 Å, c = 18.264 Å
α = 90.00°, β = 90.00°, γ = 120.73°
Fractional coordinates of all 20 atoms:
Cu (0.148, 0.292, 0.250)
Cu (0.000, 0.500, 0.500)
Y (0.669, 0.334, 0.632)
Cu (0.853, 0.144, 0.750)
Cu (0.852, 0.708, 0.750)
Cu (0.000, 0.500, 0.000)
Y (0.998, 0.999, 0.910)
Y (0.002, 0.001, 0.410)
Cu (0.293, 0.147, 0.750)
Y (0.669, 0.334, 0.868)
Y (0.331, 0.666, 0.368)
Cu (0.707, 0.853, 0.250)
Cu (0.500, 0.000, 0.500)
Cu (0.147, 0.856, 0.250)
Cu (0.500, 0.500, 0.000)
Y (0.002, 0.001, 0.090)
Y (0.331, 0.666, 0.132)
Y (0.998, 0.999, 0.590)
Cu (0.500, 0.000, 0.000)
Cu (0.500, 0.500, 0.500)

Properties
**Size of the total moment**: 0.5 μB per cell
**Energy relative to the elements**: 0.346 eV/atom

No. 3
Density functional theory data (PBE-GGA) for a relaxed structure of MnCo3.

a = 4.930 Å, b = 4.930 Å, c = 3.951 Å
α = 90.00°, β = 90.00°, γ = 120.00°
Fractional coordinates of all 8 atoms:
Co (0.832, 0.168, 0.750)
Co (0.664, 0.832, 0.250)
Mn (0.667, 0.333, 0.250)
Mn (0.333, 0.667, 0.750)
Co (0.832, 0.664, 0.750)
Co (0.336, 0.168, 0.750)
Co (0.168, 0.336, 0.250)
Co (0.168, 0.832, 0.250)

Properties
**Size of the total moment**: 3.7 μB per cell
**Energy relative to the elements**: 0.077 eV/atom

No. 4
Density functional theory data (PBE-GGA) for a relaxed structure of MnSnPt.

a = 4.399 Å, b = 4.399 Å, c = 4.399 Å
α = 60.00°, β = 60.00°, γ = 60.00°
Fractional coordinates of all 3 atoms:
Sn (0.500, 0.500, 0.500)
Mn (0.000, 0.000, 0.000)
Pt (0.250, 0.250, 0.250)

Properties
**Size of the total moment**: 3.6 μB per cell
**Energy relative to the elements**: -0.334 eV/atom

No. 5
Density functional theory data (PBE-GGA) for a relaxed structure of Lu2CdAg.

a = 5.125 Å, b = 5.125 Å, c = 5.125 Å
α = 60.00°, β = 60.00°, γ = 60.00°
Fractional coordinates of all 4 atoms:
Cd (0.000, 0.000, 0.000)
Ag (0.500, 0.500, 0.500)
Lu (0.250, 0.250, 0.250)
Lu (0.750, 0.750, 0.750)

Properties
**Energy relative to the elements**: -0.313 eV/atom

No. 6
Density functional theory data (PBE-GGA) for a relaxed structure of RbSi2BPH27C9.

a = 14.253 Å, b = 16.840 Å, c = 17.488 Å
α = 113.55°, β = 90.00°, γ = 90.00°
Fractional coordinates of all 328 atoms:
C (0.034, 0.609, 0.841)
H (0.755, 0.926, 0.545)
Si (0.614, 0.266, 0.689)
C (0.336, 0.023, 0.194)
H (0.518, 0.636, 0.226)
C (0.567, 0.814, 0.786)
H (0.803, 0.520, 0.281)
H (0.600, 0.622, 0.651)
H (0.536, 0.267, 0.093)
H (0.505, 0.832, 0.612)
C (0.603, 0.433, 0.245)
H (0.141, 0.236, 0.668)
H (0.900, 0.072, 0.025)
H (0.543, 0.128, 0.594)
H (0.245, 0.074, 0.455)
H (0.100, 0.878, 0.849)
H (0.954, 0.247, 0.247)
H (0.299, 0.337, 0.926)
H (0.679, 0.864, 0.364)
H (0.744, 0.096, 0.351)
C (0.397, 0.567, 0.755)
H (0.103, 0.586, 0.184)
H (0.635, 0.750, 0.480)
Si (0.173, 0.129, 0.354)
P (0.296, 0.295, 0.418)
H (0.458, 0.326, 0.666)
Si (0.327, 0.629, 0.854)
C (0.654, 0.720, 0.094)
C (0.755, 0.048, 0.287)
H (0.683, 0.568, 0.761)
H (0.879, 0.227, 0.653)
B (0.736, 0.308, 0.498)
H (0.763, 0.502, 0.149)
C (0.805, 0.210, 0.979)
Rb (0.824, 0.758, 0.811)
H (0.410, 0.834, 0.239)
H (0.298, 0.229, 0.052)
H (0.121, 0.773, 0.347)
B (0.406, 0.362, 0.411)
H (0.090, 0.334, 0.739)
C (0.212, 0.044, 0.393)
H (0.352, 0.530, 0.701)
H (0.288, 0.814, 0.245)
H (0.100, 0.792, 0.454)
H (0.557, 0.479, 0.233)
C (0.642, 0.216, 0.767)
H (0.982, 0.136, 0.726)
H (0.444, 0.256, 0.717)
H (0.788, 0.470, 0.352)
H (0.464, 0.733, 0.907)
C (0.379, 0.106, 0.870)
H (0.806, 0.548, 0.748)
C (0.830, 0.422, 0.850)
H (0.132, 0.346, 0.448)
C (0.121, 0.606, 0.370)
H (0.712, 0.186, 0.755)
H (0.212, 0.314, 0.745)
C (0.670, 0.922, 0.350)
C (0.100, 0.331, 0.914)
C (0.198, 0.151, 0.811)
H (0.758, 0.738, 0.464)
H (0.661, 0.978, 0.410)
H (0.938, 0.430, 0.126)
H (0.482, 0.364, 0.774)
Rb (0.324, 0.742, 0.689)
C (0.231, 0.695, 0.838)
H (0.183, 0.932, 0.739)
H (0.105, 0.095, 0.618)
H (0.811, 0.613, 0.620)
H (0.111, 0.688, 0.663)
Si (0.129, 0.633, 0.777)
H (0.798, 0.271, 0.448)
H (0.100, 0.928, 0.975)
C (0.400, 0.831, 0.414)
P (0.220, 0.682, 0.393)
H (0.474, 0.642, 0.933)
H (0.895, 0.905, 0.382)
C (0.989, 0.192, 0.786)
H (0.572, 0.867, 0.077)
H (0.420, 0.813, 0.465)
H (0.161, 0.522, 0.090)
H (0.855, 0.457, 0.633)
H (0.686, 0.644, 0.430)
H (0.062, 0.570, 0.874)
H (0.889, 0.312, 0.337)
H (0.352, 0.488, 0.072)
C (0.836, 0.477, 0.306)
H (0.242, 0.262, 0.536)
H (0.043, 0.372, 0.906)
H (0.745, 0.426, 0.045)
H (0.004, 0.648, 0.685)
H (0.151, 0.007, 0.399)
H (0.786, 0.567, 0.511)
H (0.849, 0.993, 0.601)
H (0.057, 0.021, 0.267)
H (0.689, 0.113, 0.120)
H (0.978, 0.178, 0.089)
C (0.745, 0.548, 0.787)
H (0.943, 0.979, 0.733)
C (0.576, 0.309, 0.071)
H (0.900, 0.509, 0.339)
H (0.400, 0.292, 0.954)
Si (0.225, 0.063, 0.709)
B (0.906, 0.138, 0.089)
H (0.338, 0.733, 0.519)
H (0.697, 0.020, 0.781)
H (0.958, 0.174, 0.834)
C (0.076, 0.191, 0.429)
H (0.702, 0.771, 0.948)
B (0.094, 0.862, 0.911)
H (0.944, 0.244, 0.783)
H (0.359, 0.736, 0.168)
H (0.611, 0.812, 0.837)
H (0.562, 0.484, 0.848)
H (0.651, 0.493, 0.101)
H (0.395, 0.595, 0.118)
H (0.645, 0.957, 0.133)
H (0.085, 0.598, 0.312)
H (0.026, 0.142, 0.433)
H (0.400, 0.991, 0.161)
C (0.924, 0.809, 0.571)
H (0.600, 0.009, 0.839)
H (0.237, 0.498, 0.851)
H (0.368, 0.846, 0.948)
C (0.067, 0.686, 0.714)
H (0.148, 0.030, 0.201)
H (0.194, 0.452, 0.252)
H (0.072, 0.633, 0.423)
H (0.100, 0.230, 0.493)
H (0.100, 0.491, 0.661)
H (0.995, 0.332, 0.112)
H (0.454, 0.253, 0.253)
H (0.662, 0.267, 0.481)
C (0.897, 0.933, 0.745)
H (0.197, 0.480, 0.719)
H (0.400, 0.428, 0.475)
H (0.648, 0.470, 0.299)
H (0.868, 0.654, 0.552)
Si (0.673, 0.371, 0.146)
C (0.288, 0.544, 0.893)
C (0.731, 0.805, 0.662)
H (0.286, 0.933, 0.989)
Rb (0.938, 0.934, 0.094)
H (0.910, 0.666, 0.261)
Rb (0.438, 0.566, 0.406)
H (0.244, 0.404, 0.149)
H (0.523, 0.071, 0.300)
H (0.438, 0.516, 0.152)
C (0.103, 0.067, 0.255)
C (0.011, 0.808, 0.214)
C (0.900, 0.669, 0.086)
H (0.938, 0.984, 0.348)
H (0.036, 0.233, 0.407)
H (0.600, 0.572, 0.525)
B (0.764, 0.808, 0.998)
C (0.712, 0.456, 0.107)
H (0.852, 0.970, 0.799)
C (0.625, 0.461, 0.869)
H (0.838, 0.767, 0.981)
C (0.142, 0.284, 0.733)
H (0.600, 0.708, 0.046)
P (0.720, 0.818, 0.107)
C (0.255, 0.452, 0.213)
H (0.317, 0.432, 0.239)
C (0.489, 0.308, 0.714)
H (0.915, 0.402, 0.688)
C (0.154, 0.780, 0.406)
Si (0.827, 0.871, 0.646)
H (0.443, 0.521, 0.767)
H (0.256, 0.904, 0.649)
H (0.920, 0.687, 0.035)
H (0.145, 0.543, 0.367)
B (0.594, 0.638, 0.589)
C (0.346, 0.280, 0.906)
C (0.511, 0.692, 0.286)
P (0.796, 0.205, 0.082)
H (0.062, 0.016, 0.652)
C (0.358, 0.784, 0.233)
H (0.558, 0.390, 0.262)
H (0.562, 0.930, 0.626)
C (0.600, 0.169, 0.586)
H (0.788, 0.686, 0.255)
H (0.663, 0.128, 0.567)
C (0.621, 0.894, 0.130)
P (0.704, 0.705, 0.582)
H (0.900, 0.770, 0.507)
H (0.365, 0.250, 0.520)
H (0.839, 0.478, 0.910)
H (0.900, 0.208, 0.546)
H (0.814, 0.144, 0.930)
H (0.179, 0.636, 0.136)
C (0.664, 0.977, 0.806)
C (0.305, 0.290, 0.521)
H (0.964, 0.767, 0.593)
C (0.330, 0.078, 0.650)
C (0.302, 0.651, 0.311)
H (0.928, 0.367, 0.577)
H (0.400, 0.730, 0.993)
P (0.780, 0.318, 0.607)
H (0.438, 0.070, 0.374)
Rb (0.676, 0.258, 0.311)
B (0.236, 0.192, 0.002)
Si (0.371, 0.133, 0.277)
H (0.415, 0.098, 0.812)
H (0.042, 0.826, 0.166)
H (0.201, 0.837, 0.426)
H (0.337, 0.872, 0.433)
H (0.694, 0.048, 0.248)
H (0.495, 0.168, 0.388)
P (0.280, 0.182, 0.893)
C (0.302, 0.872, 0.936)
C (0.802, 0.849, 0.189)
H (0.321, 0.136, 0.636)
C (0.164, 0.523, 0.694)
Rb (0.062, 0.066, 0.906)
H (0.957, 0.628, 0.094)
Si (0.775, 0.937, 0.291)
C (0.698, 0.128, 0.064)
H (0.585, 0.902, 0.188)
C (0.375, 0.539, 0.131)
H (0.163, 0.372, 0.933)
H (0.817, 0.068, 0.261)
H (0.821, 0.364, 0.864)
H (0.701, 0.663, 0.074)
H (0.226, 0.118, 0.998)
H (0.349, 0.507, 0.899)
H (0.897, 0.414, 0.816)
H (0.477, 0.929, 0.700)
H (0.397, 0.086, 0.684)
C (0.269, 0.195, 0.338)
H (0.202, 0.729, 0.552)
H (0.314, 0.356, 0.570)
Si (0.886, 0.766, 0.189)
H (0.859, 0.764, 0.332)
H (0.542, 0.674, 0.334)
Si (0.871, 0.367, 0.223)
H (0.379, 0.273, 0.847)
H (0.212, 0.530, 0.648)
H (0.148, 0.988, 0.572)
C (0.698, 0.349, 0.689)
H (0.080, 0.313, 0.965)
H (0.186, 0.856, 0.070)
H (0.648, 0.512, 0.928)
H (0.580, 0.187, 0.535)
H (0.742, 0.238, 0.964)
Si (0.114, 0.234, 0.811)
H (0.389, 0.188, 0.163)
H (0.306, 0.952, 0.752)
C (0.424, 0.691, 0.929)
H (0.056, 0.756, 0.217)
H (0.605, 0.405, 0.882)
H (0.457, 0.872, 0.406)
H (0.737, 0.002, 0.649)
H (0.135, 0.750, 0.020)
H (0.339, 0.022, 0.590)
H (0.865, 0.250, 0.980)
H (0.522, 0.678, 0.589)
B (0.264, 0.692, 0.502)
H (0.023, 0.429, 0.200)
Rb (0.176, 0.242, 0.189)
Si (0.386, 0.734, 0.311)
H (0.621, 0.727, 0.153)
H (0.018, 0.864, 0.274)
H (0.712, 0.970, 0.852)
H (0.255, 0.574, 0.955)
H (0.974, 0.858, 0.567)
C (0.769, 0.305, 0.162)
C (0.433, 0.186, 0.214)
C (0.858, 0.716, 0.267)
H (0.214, 0.433, 0.489)
H (0.288, 0.030, 0.148)
H (0.556, 0.744, 0.283)
H (0.900, 0.122, 0.151)
C (0.195, 0.790, 0.021)
C (0.198, 0.372, 0.436)
H (0.942, 0.890, 0.762)
H (0.526, 0.358, 0.067)
H (0.799, 0.163, 0.574)
H (0.996, 0.352, 0.315)
H (0.046, 0.753, 0.753)
H (0.590, 0.166, 0.761)
C (0.170, 0.578, 0.150)
C (0.788, 0.956, 0.607)
Si (0.275, 0.563, 0.209)
H (0.258, 0.762, 0.036)
H (0.504, 0.852, 0.815)
H (0.189, 0.387, 0.380)
H (0.756, 0.596, 0.851)
H (0.058, 0.110, 0.238)
H (0.355, 0.043, 0.867)
H (0.726, 0.382, 0.502)
H (0.632, 0.154, 0.052)
C (0.933, 0.314, 0.286)
H (0.603, 0.914, 0.316)
H (0.774, 0.882, 0.002)
C (0.466, 0.109, 0.341)
Rb (0.562, 0.434, 0.594)
P (0.204, 0.795, 0.918)
H (0.714, 0.067, 0.011)
C (0.695, 0.710, 0.479)
C (0.879, 0.394, 0.630)
Si (0.725, 0.437, 0.791)
H (0.005, 0.668, 0.888)
Si (0.629, 0.867, 0.723)
C (0.245, 0.952, 0.713)
H (0.546, 0.747, 0.747)
H (0.977, 0.571, 0.800)
H (0.274, 0.618, 0.498)
H (0.442, 0.610, 0.738)
H (0.022, 0.822, 0.911)
H (0.263, 0.998, 0.351)
H (0.478, 0.322, 0.411)
H (0.303, 0.980, 0.219)
H (0.162, 0.233, 0.019)
H (0.496, 0.148, 0.185)
H (0.852, 0.012, 0.428)
H (0.428, 0.133, 0.923)
H (0.837, 0.628, 0.067)
C (0.846, 0.220, 0.594)
H (0.641, 0.264, 0.832)
C (0.875, 0.961, 0.369)
C (0.125, 0.039, 0.631)
H (0.311, 0.887, 0.880)
C (0.802, 0.628, 0.564)
H (0.600, 0.270, 0.007)
C (0.534, 0.891, 0.659)
C (0.966, 0.391, 0.159)
H (0.400, 0.378, 0.349)

Properties
**Size of the total moment**: 0.0 μB per cell
**Energy relative to the elements**: -0.205 eV/atom

No. 7
Density functional theory data (PBE-GGA) for a relaxed structure of Y3B3O7.

a = 4.024 Å, b = 4.024 Å, c = 25.141 Å
α = 90.00°, β = 90.00°, γ = 123.87°
Fractional coordinates of all 26 atoms:
O (0.338, 0.662, 0.365)
O (0.345, 0.655, 0.039)
Y (0.005, 0.995, 0.005)
B (0.244, 0.756, 0.086)
B (0.645, 0.355, 0.918)
O (0.661, 0.339, 0.202)
O (0.661, 0.339, 0.298)
O (0.680, 0.320, 0.971)
O (0.683, 0.317, 0.634)
O (0.345, 0.655, 0.461)
B (0.255, 0.745, 0.750)
O (0.028, 0.972, 0.918)
Y (0.999, 0.001, 0.332)
O (0.680, 0.320, 0.529)
Y (0.012, 0.988, 0.668)
Y (0.012, 0.988, 0.832)
B (0.645, 0.355, 0.582)
O (0.338, 0.662, 0.135)
Y (0.005, 0.995, 0.495)
O (0.353, 0.647, 0.798)
O (0.353, 0.647, 0.702)
B (0.244, 0.756, 0.414)
B (0.758, 0.242, 0.250)
O (0.683, 0.317, 0.866)
O (0.028, 0.972, 0.582)
Y (0.999, 0.001, 0.168)

Properties
**Size of the total moment**: 0.0 μB per cell
**Energy relative to the elements**: -2.865 eV/atom

| no. | uncorrected energy (eV per atom) |
| --- | --- |
| 1 | -6.367 |
| 2 | -4.700 |
| 3 | -7.545 |
| 4 | -6.748 |
| 5 | -3.512 |
| 6 | -5.049 |
| 7 | -8.193 |